## CuBi2O4 (PBE)

Data for crystalline CuBi2O4 at its relaxed geometry.

```
CuBi2O4
1.0
8.4912 0.0000 0.0000
0.0000 8.4912 0.0000
0.0000 0.0000 6.0421
Cu Bi O
4 8 16
Cartesian
0.0000 4.2456 0.4558
4.2456 0.0000 2.5652
4.2456 0.0000 5.5863
0.0000 4.2456 3.4768
5.6908 5.6908 1.5105
1.4452 7.0459 1.5105
7.0459 1.4452 1.5105
2.8003 2.8003 1.5105
7.0459 7.0459 4.5316
2.8003 5.6908 4.5316
5.6908 2.8003 4.5316
1.4452 1.4452 4.5316
5.0894 6.7259 5.5066
2.4803 7.6473 5.5066
6.0108 0.8439 5.5066
3.4017 1.7652 5.5066
7.6473 2.4803 3.5565
0.8439 6.0108 3.5565
6.7259 5.0894 3.5565
1.7652 3.4017 3.5565
7.6473 6.0108 0.5355
1.7652 5.0894 0.5355
6.7259 3.4017 0.5355
0.8439 2.4803 0.5355
5.0894 1.7652 2.4856
3.4017 6.7259 2.4856
6.0108 7.6473 2.4856
2.4803 0.8439 2.4856
```

Results
As for the formation energy: -1.451 eV per atom. The volume comes out at 15.56 Å³/atom. As for the relative energy among the computed polymorphs: 0.0 meV/atom.